(1)
A plane-wave DFT calculation with PBE was carried out for a geometry-optimized TmMn6Ge6 structure.

Output
**Calculated formation energy**: -31.3 kJ/mol of atoms

a = 5.1670 Å, b = 5.1670 Å, c = 8.1312 Å
α = 90.00°, β = 90.00°, γ = 120.00°
Last column: nearest neighbours and their distance in Å.
Fractional positions:
Tm1 0.0000 0.0000 0.0000  8 Ge 2.79-2.98
Mn1 0.0000 0.5000 0.7496  6 Ge 2.52-2.69, 4 Mn 2.58
Mn2 0.5000 0.0000 0.2504  6 Ge 2.52-2.69, 4 Mn 2.58
Mn3 0.5000 0.5000 0.2504  6 Ge 2.52-2.69, 4 Mn 2.58
Mn4 0.0000 0.5000 0.2504  6 Ge 2.52-2.69, 4 Mn 2.58
Mn5 0.5000 0.0000 0.7496  6 Ge 2.52-2.69, 4 Mn 2.58
Mn6 0.5000 0.5000 0.7496  6 Ge 2.52-2.69, 4 Mn 2.58
Ge1 0.0000 0.0000 0.6567  1 Ge 2.55, 6 Mn 2.69, 1 Tm 2.79
Ge2 0.3333 0.6667 0.5000  6 Mn 2.52
Ge3 0.6667 0.3333 0.5000  6 Mn 2.52
Ge4 0.3333 0.6667 0.0000  6 Mn 2.52
Ge5 0.6667 0.3333 0.0000  6 Mn 2.52
Ge6 0.0000 0.0000 0.3433  1 Ge 2.55, 6 Mn 2.69, 1 Tm 2.79

(2)
A plane-wave DFT calculation with PBE was carried out for a geometry-optimized Ba4Nd8Cu3PtO20 structure.

Output
**Calculated formation energy**: -286.2 kJ/mol of atoms

a = 5.9088 Å, b = 6.7812 Å, c = 13.5674 Å
α = 89.86°, β = 90.00°, γ = 90.00°
Last column: nearest neighbours and their distance in Å.
Fractional positions:
Ba1 0.0000 0.5000 0.5000  10 O 2.95-3.01
Ba2 0.0000 0.5000 0.0000  10 O 2.95-3.00
Ba3 0.0000 0.0014 0.7502  10 O 2.95-3.01
Ba4 0.0000 0.9986 0.2498  10 O 2.95-3.01
Nd1 0.5000 0.8242 0.4123  8 O 2.35-2.62
Nd2 0.5000 0.8264 0.9131  8 O 2.35-2.62
Nd3 0.5000 0.1758 0.5877  8 O 2.35-2.62
Nd4 0.5000 0.1736 0.0869  8 O 2.35-2.62
Nd5 0.5000 0.6716 0.6646  4 O 2.31-2.52
Nd6 0.5000 0.6741 0.1627  8 O 2.35-2.62
Nd7 0.5000 0.3284 0.3354  4 O 2.31-2.52
Nd8 0.5000 0.3259 0.8373  8 O 2.35-2.62
Cu1 0.0000 0.0000 0.0000  4 O 1.96
Cu2 0.0000 0.5004 0.7501  4 O 1.96
Cu3 0.0000 0.4996 0.2499  4 O 1.96
Pt1 0.0000 0.0000 0.5000  4 O 2.02
O1 0.2520 0.1427 0.4286  1 Pt 2.02
O2 0.2435 0.1385 0.9308  1 Cu 1.96
O3 0.2520 0.8573 0.5714  1 Pt 2.02
O4 0.2435 0.8615 0.0692  1 Cu 1.96
O5 0.2450 0.3629 0.6815  1 Cu 1.96
O6 0.2437 0.3613 0.1807  1 Cu 1.96
O7 0.2450 0.6371 0.3185  1 Cu 1.96
O8 0.2437 0.6387 0.8193  1 Cu 1.96
O9 0.7480 0.8573 0.5714  1 Pt 2.02
O10 0.7565 0.8615 0.0692  1 Cu 1.96
O11 0.7480 0.1427 0.4286  1 Pt 2.02
O12 0.7565 0.1385 0.9308  1 Cu 1.96
O13 0.7550 0.6371 0.3185  1 Cu 1.96
O14 0.7563 0.6387 0.8193  1 Cu 1.96
O15 0.7550 0.3629 0.6815  1 Cu 1.96
O16 0.7563 0.3613 0.1807  1 Cu 1.96
O17 0.5000 0.5000 0.5000  4 Nd 2.50-2.52
O18 0.5000 0.5000 0.0000  4 Nd 2.51
O19 0.5000 0.0006 0.7506  4 Nd 2.50-2.52
O20 0.5000 0.9994 0.2494  4 Nd 2.50-2.52

(3)
A plane-wave DFT calculation with PBE was carried out for a geometry-optimized Zr5Sn3N structure.

Output
**Calculated formation energy**: -85.8 kJ/mol of atoms

a = 8.4880 Å, b = 8.4880 Å, c = 5.8136 Å
α = 90.00°, β = 90.00°, γ = 120.00°
Last column: nearest neighbours and their distance in Å.
Fractional positions:
Zr1 0.6667 0.3333 0.0000  2 Zr 2.91, 6 Sn 2.96
Zr2 0.3333 0.6667 0.0000  2 Zr 2.91, 6 Sn 2.96
Zr3 0.3333 0.6667 0.5000  2 Zr 2.91, 6 Sn 2.96
Zr4 0.6667 0.3333 0.5000  2 Zr 2.91, 6 Sn 2.96
Zr5 0.7797 0.7797 0.7500  2 N 2.37
Zr6 0.2203 0.0000 0.7500  2 N 2.37
Zr7 0.0000 0.2203 0.7500  2 N 2.37
Zr8 0.2203 0.2203 0.2500  2 N 2.37
Zr9 0.7797 0.0000 0.2500  2 N 2.37
Zr10 0.0000 0.7797 0.2500  2 N 2.37
Sn1 0.4052 0.4052 0.7500  9 Zr 2.96-3.30
Sn2 0.5948 0.0000 0.7500  9 Zr 2.96-3.30
Sn3 0.0000 0.5948 0.7500  9 Zr 2.96-3.30
Sn4 0.5948 0.5948 0.2500  9 Zr 2.96-3.30
Sn5 0.4052 0.0000 0.2500  9 Zr 2.96-3.30
Sn6 0.0000 0.4052 0.2500  9 Zr 2.96-3.30
N1 0.0000 0.0000 0.0000  6 Zr 2.37
N2 0.0000 0.0000 0.5000  6 Zr 2.37

(4)
A plane-wave DFT calculation with PBE was carried out for a geometry-optimized Y3Ga2Ni6 structure.

Output
**Calculated formation energy**: -52.4 kJ/mol of atoms

a = 7.7139 Å, b = 7.7139 Å, c = 7.7139 Å
α = 109.47°, β = 109.47°, γ = 109.47°
Last column: nearest neighbours and their distance in Å.
Fractional positions:
Y1 0.7100 0.7100 0.0000  8 Ni 2.79-3.02
Y2 0.2900 0.0000 0.2900  8 Ni 2.79-3.02
Y3 0.0000 0.2900 0.2900  8 Ni 2.79-3.02
Y4 0.2900 0.2900 0.0000  8 Ni 2.79-3.02
Y5 0.7100 0.0000 0.7100  8 Ni 2.79-3.02
Y6 0.0000 0.7100 0.7100  8 Ni 2.79-3.02
Ga1 0.0000 0.0000 0.5000  6 Ni 2.48
Ga2 0.0000 0.5000 0.0000  6 Ni 2.48
Ga3 0.5000 0.0000 0.0000  6 Ni 2.48
Ga4 0.5000 0.5000 0.5000  6 Ni 2.48
Ni1 0.3361 0.3361 0.6722  2 Ga 2.48, 4 Ni 2.57
Ni2 0.6639 0.0000 0.3361  2 Ga 2.48, 4 Ni 2.57
Ni3 0.0000 0.6639 0.3361  2 Ga 2.48, 4 Ni 2.57
Ni4 0.6639 0.3361 0.0000  2 Ga 2.48, 4 Ni 2.57
Ni5 0.3361 0.6722 0.3361  2 Ga 2.48, 4 Ni 2.57
Ni6 0.0000 0.3361 0.6639  2 Ga 2.48, 4 Ni 2.57
Ni7 0.3361 0.6639 0.0000  2 Ga 2.48, 4 Ni 2.57
Ni8 0.3361 0.0000 0.6639  2 Ga 2.48, 4 Ni 2.57
Ni9 0.6722 0.3361 0.3361  2 Ga 2.48, 4 Ni 2.57
Ni10 0.6639 0.6639 0.3278  2 Ga 2.48, 4 Ni 2.57
Ni11 0.6639 0.3278 0.6639  2 Ga 2.48, 4 Ni 2.57
Ni12 0.3278 0.6639 0.6639  2 Ga 2.48, 4 Ni 2.57

(5)
A plane-wave DFT calculation with PBE was carried out for a geometry-optimized InP3Pb2O11 structure.

Output
**Calculated formation energy**: -236.4 kJ/mol of atoms

a = 7.1666 Å, b = 6.7035 Å, c = 20.3059 Å
α = 80.43°, β = 90.00°, γ = 90.00°
Last column: nearest neighbours and their distance in Å.
Fractional positions:
In1 0.1305 0.9491 0.8787  6 O 2.14-2.26
In2 0.6305 0.0509 0.6213  6 O 2.14-2.26
In3 0.8695 0.0509 0.1213  6 O 2.14-2.26
In4 0.3695 0.9491 0.3787  6 O 2.14-2.26
P1 0.4691 0.8189 0.7741  4 O 1.54-1.58
P2 0.9691 0.1811 0.7259  4 O 1.54-1.58
P3 0.5309 0.1811 0.2259  4 O 1.54-1.58
P4 0.0309 0.8189 0.2741  4 O 1.54-1.58
P5 0.8615 0.5669 0.0902  4 O 1.52-1.64
P6 0.3615 0.4331 0.4098  4 O 1.52-1.64
P7 0.1385 0.4331 0.9098  4 O 1.52-1.64
P8 0.6385 0.5669 0.5902  4 O 1.52-1.64
P9 0.1958 0.8165 0.0458  4 O 1.52-1.64
P10 0.6958 0.1835 0.4542  4 O 1.52-1.64
P11 0.8042 0.1835 0.9542  4 O 1.52-1.64
P12 0.3042 0.8165 0.5458  4 O 1.52-1.64
Pb1 0.6251 0.6721 0.9246  4 O 2.41-2.63
Pb2 0.1251 0.3279 0.5754  4 O 2.41-2.63
Pb3 0.3749 0.3279 0.0754  4 O 2.41-2.63
Pb4 0.8749 0.6721 0.4246  4 O 2.41-2.63
Pb5 0.4795 0.3324 0.7705  3 O 2.49-2.58
Pb6 0.9795 0.6676 0.7295  3 O 2.49-2.58
Pb7 0.5205 0.6676 0.2295  3 O 2.49-2.58
Pb8 0.0205 0.3324 0.2705  3 O 2.49-2.58
O1 0.6427 0.6872 0.7982  1 P 1.56
O2 0.1427 0.3128 0.7018  1 P 1.56
O3 0.3573 0.3128 0.2018  1 P 1.56
O4 0.8573 0.6872 0.2982  1 P 1.56
O5 0.4017 0.9108 0.8370  1 P 1.58
O6 0.9017 0.0892 0.6630  1 P 1.58
O7 0.5983 0.0892 0.1630  1 P 1.58
O8 0.0983 0.9108 0.3370  1 P 1.58
O9 0.3220 0.6826 0.7488  1 P 1.54
O10 0.8220 0.3174 0.7512  1 P 1.54
O11 0.6780 0.3174 0.2512  1 P 1.54
O12 0.1780 0.6826 0.2488  1 P 1.54
O13 0.5186 0.0065 0.7211  1 P 1.55
O14 0.0186 0.9935 0.7789  1 P 1.55
O15 0.4814 0.9935 0.2789  1 P 1.55
O16 0.9814 0.0065 0.2211  1 P 1.55
O17 0.9600 0.3712 0.1252  1 P 1.55
O18 0.4600 0.6288 0.3748  1 P 1.55
O19 0.0400 0.6288 0.8748  1 P 1.55
O20 0.5400 0.3712 0.6252  1 P 1.55
O21 0.6917 0.5204 0.0503  1 P 1.52
O22 0.1917 0.4796 0.4497  1 P 1.52
O23 0.3083 0.4796 0.9497  1 P 1.52
O24 0.8083 0.5204 0.5503  1 P 1.52
O25 0.0077 0.6848 0.0352  2 P 1.64
O26 0.5077 0.3152 0.4648  2 P 1.64
O27 0.9923 0.3152 0.9648  2 P 1.64
O28 0.4923 0.6848 0.5352  2 P 1.64
O29 0.8229 0.7148 0.1392  1 P 1.54
O30 0.3229 0.2852 0.3608  1 P 1.54
O31 0.1771 0.2852 0.8608  1 P 1.54
O32 0.6771 0.7148 0.6392  1 P 1.54
O33 0.8640 0.0054 0.9195  1 P 1.54
O34 0.3640 0.9946 0.5805  1 P 1.54
O35 0.1360 0.9946 0.0805  1 P 1.54
O36 0.6360 0.0054 0.4195  1 P 1.54
O37 0.6680 0.3232 0.9118  1 P 1.52
O38 0.1680 0.6768 0.5882  1 P 1.52
O39 0.3320 0.6768 0.0882  1 P 1.52
O40 0.8320 0.3232 0.4118  1 P 1.52
O41 0.2661 0.8958 0.9748  1 P 1.54
O42 0.7661 0.1042 0.5252  1 P 1.54
O43 0.7339 0.1042 0.0252  1 P 1.54
O44 0.2339 0.8958 0.4748  1 P 1.54

(6)
A plane-wave DFT calculation with PBE was carried out for a geometry-optimized UMn2Ge2 structure.

Output
**Calculated formation energy**: -21.0 kJ/mol of atoms

a = 5.9457 Å, b = 5.9457 Å, c = 5.9457 Å
α = 140.81°, β = 140.81°, γ = 56.62°
Last column: nearest neighbours and their distance in Å.
Fractional positions:
U1 0.0000 0.0000 0.0000  8 Ge 3.09, 8 Mn 3.29
Mn1 0.7500 0.2500 0.5000  4 Ge 2.41
Mn2 0.2500 0.7500 0.5000  4 Ge 2.41
Ge1 0.6199 0.6199 0.0000  4 Mn 2.41, 1 Ge 2.51
Ge2 0.3801 0.3801 0.0000  4 Mn 2.41, 1 Ge 2.51

What is the formula in the first record?
TmMn6Ge6

The highest calculated formation energy belongs to which entry?
UMn2Ge2